Record 1
DFT (PBE) results for a geometry-optimized Si2H2O3 structure. Values from VASP.

```
&SYSTEM
  ibrav = 0, nat = 336, ntyp = 3
/
ATOMIC_SPECIES
Si 28.09 Si.upf
H 1.01 H.upf
O 16.00 O.upf
CELL_PARAMETERS angstrom
14.977 0.000 0.000
0.000 21.236 0.000
0.000 0.000 15.805
ATOMIC_POSITIONS angstrom
Si 0.716 2.081 0.029
Si 0.716 8.537 7.932
Si 0.950 11.820 14.378
Si 0.950 20.034 6.475
Si 1.491 5.160 15.441
Si 1.491 5.458 7.538
Si 1.513 0.420 13.213
Si 1.513 10.198 5.311
Si 1.658 13.742 11.914
Si 1.658 18.111 4.012
Si 1.730 13.306 1.322
Si 1.730 18.548 9.225
Si 2.143 4.915 4.493
Si 2.143 5.703 12.396
Si 2.259 15.276 5.127
Si 2.259 16.578 13.030
Si 2.674 2.773 11.348
Si 2.674 7.845 3.446
Si 2.904 15.766 8.240
Si 2.904 16.087 0.337
Si 3.186 0.831 1.578
Si 3.186 9.787 9.481
Si 3.458 0.738 6.839
Si 3.458 9.880 14.742
Si 4.030 11.356 6.839
Si 4.030 20.498 14.742
Si 4.302 11.449 1.578
Si 4.302 20.405 9.481
Si 4.584 5.148 8.240
Si 4.584 5.469 0.337
Si 4.815 13.391 11.348
Si 4.815 18.463 3.446
Si 5.230 4.658 5.127
Si 5.230 5.960 13.030
Si 5.345 15.533 4.493
Si 5.345 16.321 12.396
Si 5.758 2.688 1.322
Si 5.758 7.930 9.225
Si 5.831 3.124 11.914
Si 5.831 7.494 4.012
Si 5.975 11.038 13.213
Si 5.975 20.816 5.311
Si 5.997 15.778 15.441
Si 5.997 16.075 7.538
Si 6.538 1.202 14.378
Si 6.538 9.416 6.475
Si 6.772 12.699 0.029
Si 6.772 19.155 7.932
Si 8.205 2.081 7.874
Si 8.205 8.537 15.777
Si 8.439 11.820 9.330
Si 8.439 20.034 1.427
Si 8.980 5.160 8.268
Si 8.980 5.458 0.365
Si 9.001 0.420 10.495
Si 9.001 10.198 2.592
Si 9.146 13.742 11.794
Si 9.146 18.111 3.891
Si 9.219 13.306 6.580
Si 9.219 18.548 14.483
Si 9.631 4.915 3.410
Si 9.631 5.703 11.313
Si 9.747 15.276 2.776
Si 9.747 16.578 10.678
Si 10.162 2.773 12.360
Si 10.162 7.845 4.457
Si 10.392 15.766 15.468
Si 10.392 16.087 7.565
Si 10.674 0.831 6.324
Si 10.674 9.787 14.227
Si 10.947 0.738 1.064
Si 10.947 9.880 8.966
Si 11.519 11.356 1.064
Si 11.519 20.498 8.966
Si 11.791 11.449 6.324
Si 11.791 20.405 14.227
Si 12.073 5.148 15.468
Si 12.073 5.469 7.565
Si 12.303 13.391 12.360
Si 12.303 18.463 4.457
Si 12.718 4.658 2.776
Si 12.718 5.960 10.678
Si 12.834 15.533 3.410
Si 12.834 16.321 11.313
Si 13.247 2.688 6.580
Si 13.247 7.930 14.483
Si 13.319 3.124 11.794
Si 13.319 7.494 3.891
Si 13.464 11.038 10.495
Si 13.464 20.816 2.592
Si 13.486 15.778 8.268
Si 13.486 16.075 0.365
Si 14.027 1.202 9.330
Si 14.027 9.416 1.427
Si 14.260 12.699 7.874
Si 14.260 19.155 15.777
H 0.370 0.552 9.296
H 0.370 10.066 1.393
H 0.542 11.116 4.691
H 0.542 20.738 12.594
H 0.620 4.606 8.362
H 0.620 6.012 0.459
H 0.612 12.529 7.266
H 0.612 19.325 15.168
H 0.693 13.204 2.362
H 0.693 18.650 10.265
H 0.962 13.476 10.647
H 0.962 18.378 2.745
H 1.386 3.974 3.644
H 1.386 6.644 11.547
H 1.480 14.046 4.897
H 1.480 17.808 12.800
H 2.533 2.597 9.894
H 2.533 8.021 1.991
H 2.700 14.524 8.997
H 2.700 17.330 1.094
H 2.902 0.143 2.852
H 2.902 10.475 10.755
H 3.184 2.187 6.843
H 3.184 8.430 14.746
H 4.304 12.805 6.843
H 4.304 19.048 14.746
H 4.587 10.761 2.852
H 4.587 21.093 10.755
H 4.789 3.906 8.997
H 4.789 6.712 1.094
H 4.956 13.215 9.894
H 4.956 18.639 1.991
H 6.009 3.428 4.897
H 6.009 7.190 12.800
H 6.103 14.592 3.644
H 6.103 17.262 11.547
H 6.527 2.858 10.647
H 6.527 7.760 2.745
H 6.795 2.586 2.362
H 6.795 8.032 10.265
H 6.877 1.911 7.266
H 6.877 8.707 15.168
H 6.869 15.224 8.362
H 6.869 16.630 0.459
H 6.946 0.498 4.691
H 6.946 10.120 12.594
H 7.118 11.170 9.296
H 7.118 20.684 1.393
H 7.858 0.552 14.412
H 7.858 10.066 6.509
H 8.030 11.116 3.212
H 8.030 20.738 11.115
H 8.108 4.606 15.346
H 8.108 6.012 7.443
H 8.100 12.529 0.637
H 8.100 19.325 8.540
H 8.182 13.204 5.541
H 8.182 18.650 13.444
H 8.450 13.476 13.061
H 8.450 18.378 5.158
H 8.874 3.974 4.259
H 8.874 6.644 12.161
H 8.968 14.046 3.005
H 8.968 17.808 10.908
H 10.021 2.597 13.814
H 10.021 8.021 5.911
H 10.188 14.524 14.712
H 10.188 17.330 6.809
H 10.390 0.143 5.051
H 10.390 10.475 12.954
H 10.672 2.187 1.059
H 10.672 8.430 8.962
H 11.793 12.805 1.059
H 11.793 19.048 8.962
H 12.075 10.761 5.051
H 12.075 21.093 12.954
H 12.277 3.906 14.712
H 12.277 6.712 6.809
H 12.444 13.215 13.814
H 12.444 18.639 5.911
H 13.497 3.428 3.005
H 13.497 7.190 10.908
H 13.591 14.592 4.259
H 13.591 17.262 12.161
H 14.015 2.858 13.061
H 14.015 7.760 5.158
H 14.283 2.586 5.541
H 14.283 8.032 13.444
H 14.365 1.911 0.637
H 14.365 8.707 8.540
H 14.357 15.224 15.346
H 14.357 16.630 7.443
H 14.435 0.498 3.212
H 14.435 10.120 11.115
H 14.607 11.170 14.412
H 14.607 20.684 6.509
O 0.818 1.118 14.519
O 0.818 9.500 6.616
O 0.890 3.645 15.416
O 0.890 6.973 7.513
O 1.007 12.814 13.090
O 1.007 19.040 5.187
O 1.147 12.678 15.744
O 1.147 19.176 7.841
O 1.501 15.326 12.299
O 1.501 16.528 4.396
O 1.539 4.871 6.013
O 1.539 5.747 13.915
O 1.861 1.666 1.118
O 1.861 8.952 9.021
O 1.928 1.543 12.112
O 1.928 9.074 4.210
O 1.995 4.192 11.788
O 1.995 6.426 3.886
O 2.103 10.665 14.282
O 2.103 21.188 6.380
O 2.108 14.878 1.090
O 2.108 16.975 8.992
O 2.335 15.562 6.730
O 2.335 16.292 14.632
O 2.831 11.052 5.772
O 2.831 20.802 13.675
O 2.988 5.136 0.287
O 2.988 5.482 8.190
O 3.051 12.471 1.799
O 3.051 19.383 9.702
O 3.239 13.381 11.757
O 3.239 18.473 3.854
O 3.573 10.895 8.339
O 3.573 20.959 0.436
O 3.722 4.473 4.516
O 3.722 6.145 12.418
O 3.767 15.091 4.516
O 3.767 16.763 12.418
O 3.915 0.277 8.339
O 3.915 10.341 0.436
O 4.250 2.763 11.757
O 4.250 7.855 3.854
O 4.438 1.853 1.799
O 4.438 8.765 9.702
O 4.500 15.754 0.287
O 4.500 16.100 8.190
O 4.658 0.434 5.772
O 4.658 10.184 13.675
O 5.154 4.944 6.730
O 5.154 5.674 14.632
O 5.380 4.260 1.090
O 5.380 6.357 8.992
O 5.385 0.047 14.282
O 5.385 10.570 6.380
O 5.493 14.810 11.788
O 5.493 17.044 3.886
O 5.560 12.161 12.112
O 5.560 19.692 4.210
O 5.628 12.284 1.118
O 5.628 19.570 9.021
O 5.949 15.489 6.013
O 5.949 16.365 13.915
O 5.987 4.708 12.299
O 5.987 5.910 4.396
O 6.341 2.060 15.744
O 6.341 8.558 7.841
O 6.482 2.196 13.090
O 6.482 8.422 5.187
O 6.599 14.263 15.416
O 6.599 17.591 7.513
O 6.670 11.736 14.519
O 6.670 20.118 6.616
O 8.307 1.118 9.189
O 8.307 9.500 1.287
O 8.378 3.645 8.292
O 8.378 6.973 0.389
O 8.495 12.814 10.618
O 8.495 19.040 2.715
O 8.635 12.678 7.964
O 8.635 19.176 0.062
O 8.990 15.326 11.409
O 8.990 16.528 3.506
O 9.028 4.871 1.890
O 9.028 5.747 9.793
O 9.349 1.666 6.785
O 9.349 8.952 14.687
O 9.417 1.543 11.596
O 9.417 9.074 3.693
O 9.484 4.192 11.920
O 9.484 6.426 4.017
O 9.591 10.665 9.426
O 9.591 21.188 1.523
O 9.596 14.878 6.813
O 9.596 16.975 14.716
O 9.823 15.562 1.173
O 9.823 16.292 9.076
O 10.319 11.052 2.130
O 10.319 20.802 10.033
O 10.477 5.136 7.616
O 10.477 5.482 15.518
O 10.539 12.471 6.103
O 10.539 19.383 14.006
O 10.727 13.381 11.952
O 10.727 18.473 4.049
O 11.061 10.895 15.369
O 11.061 20.959 7.467
O 11.210 4.473 3.387
O 11.210 6.145 11.290
O 11.255 15.091 3.387
O 11.255 16.763 11.290
O 11.404 0.277 15.369
O 11.404 10.341 7.467
O 11.738 2.763 11.952
O 11.738 7.855 4.049
O 11.926 1.853 6.103
O 11.926 8.765 14.006
O 11.989 15.754 7.616
O 11.989 16.100 15.518
O 12.146 0.434 2.130
O 12.146 10.184 10.033
O 12.642 4.944 1.173
O 12.642 5.674 9.076
O 12.869 4.260 6.813
O 12.869 6.357 14.716
O 12.874 0.047 9.426
O 12.874 10.570 1.523
O 12.982 14.810 11.920
O 12.982 17.044 4.017
O 13.049 12.161 11.596
O 13.049 19.692 3.693
O 13.116 12.284 6.785
O 13.116 19.570 14.687
O 13.438 15.489 1.890
O 13.438 16.365 9.793
O 13.476 4.708 11.409
O 13.476 5.910 3.506
O 13.830 2.060 7.964
O 13.830 8.558 0.062
O 13.970 2.196 10.618
O 13.970 8.422 2.715
O 14.087 14.263 8.292
O 14.087 17.591 0.389
O 14.159 11.736 9.189
O 14.159 20.118 1.287
```

Results
Raw total energy (eV/atom): -6.422
Space-group type: Pbca, No. 61
E above lowest polymorph (meV/atom): 0.0
Formation enthalpy at 0 K (eV per atom): -2.08
Size of the total moment (Bohr magnetons per cell): 0.0

---

Record 2
DFT (PBE) results for a geometry-optimized TbGaPt structure. Values from VASP.

```
&SYSTEM
  ibrav = 0, nat = 12, ntyp = 3
/
ATOMIC_SPECIES
Tb 158.93 Tb.upf
Ga 69.72 Ga.upf
Pt 195.08 Pt.upf
CELL_PARAMETERS angstrom
6.960 0.000 0.000
0.000 4.460 0.000
0.000 0.000 7.693
ATOMIC_POSITIONS angstrom
Tb 0.114 1.115 1.515
Tb 3.366 3.345 5.362
Tb 3.594 1.115 2.331
Tb 6.846 3.345 6.177
Ga 1.193 1.115 4.426
Ga 2.287 3.345 0.580
Ga 4.673 1.115 7.113
Ga 5.767 3.345 3.266
Pt 1.542 3.345 3.090
Pt 1.938 1.115 6.936
Pt 5.022 3.345 0.756
Pt 5.418 1.115 4.603
```

Results
Raw total energy (eV/atom): -5.674
Space-group type: Pnma, No. 62
Formation enthalpy at 0 K (eV per atom): -1.10

---

Record 3
DFT (PBE) results for a geometry-optimized LiP5 structure. Values from VASP.

```
&SYSTEM
  ibrav = 0, nat = 24, ntyp = 2
/
ATOMIC_SPECIES
Li 6.94 Li.upf
P 30.97 P.upf
CELL_PARAMETERS angstrom
10.512 0.000 0.000
0.000 6.687 0.000
0.000 0.000 6.597
ATOMIC_POSITIONS angstrom
Li 0.821 0.287 0.000
Li 4.435 3.630 3.299
Li 6.077 3.057 0.000
Li 9.691 6.400 3.299
P 0.887 3.914 2.440
P 0.975 4.005 5.636
P 1.359 0.745 4.152
P 2.013 2.983 0.736
P 2.026 2.827 4.035
P 3.230 6.170 0.736
P 3.243 6.326 4.034
P 3.897 4.089 0.854
P 4.281 0.661 2.337
P 4.369 0.571 5.738
P 6.143 6.116 2.440
P 6.231 6.025 5.636
P 6.615 2.598 4.152
P 7.269 0.361 0.736
P 7.282 0.516 4.035
P 8.486 3.860 0.736
P 8.499 3.704 4.034
P 9.153 5.941 0.854
P 9.538 2.682 2.337
P 9.625 2.773 5.738
```

Results
Raw total energy (eV/atom): -5.023
Space-group type: Pna2_1, No. 33
E above lowest polymorph (meV/atom): 0.0
Formation enthalpy at 0 K (eV per atom): -0.19
Piezoelectric modulus e_max (C/m²): 0.495

---

Repeat the third record exactly.
DFT (PBE) results for a geometry-optimized LiP5 structure. Values from VASP.

```
&SYSTEM
  ibrav = 0, nat = 24, ntyp = 2
/
ATOMIC_SPECIES
Li 6.94 Li.upf
P 30.97 P.upf
CELL_PARAMETERS angstrom
10.512 0.000 0.000
0.000 6.687 0.000
0.000 0.000 6.597
ATOMIC_POSITIONS angstrom
Li 0.821 0.287 0.000
Li 4.435 3.630 3.299
Li 6.077 3.057 0.000
Li 9.691 6.400 3.299
P 0.887 3.914 2.440
P 0.975 4.005 5.636
P 1.359 0.745 4.152
P 2.013 2.983 0.736
P 2.026 2.827 4.035
P 3.230 6.170 0.736
P 3.243 6.326 4.034
P 3.897 4.089 0.854
P 4.281 0.661 2.337
P 4.369 0.571 5.738
P 6.143 6.116 2.440
P 6.231 6.025 5.636
P 6.615 2.598 4.152
P 7.269 0.361 0.736
P 7.282 0.516 4.035
P 8.486 3.860 0.736
P 8.499 3.704 4.034
P 9.153 5.941 0.854
P 9.538 2.682 2.337
P 9.625 2.773 5.738
```

Results
Raw total energy (eV/atom): -5.023
Space-group type: Pna2_1, No. 33
E above lowest polymorph (meV/atom): 0.0
Formation enthalpy at 0 K (eV per atom): -0.19
Piezoelectric modulus e_max (C/m²): 0.495

---

Copy entry 2 word for word.
DFT (PBE) results for a geometry-optimized TbGaPt structure. Values from VASP.

```
&SYSTEM
  ibrav = 0, nat = 12, ntyp = 3
/
ATOMIC_SPECIES
Tb 158.93 Tb.upf
Ga 69.72 Ga.upf
Pt 195.08 Pt.upf
CELL_PARAMETERS angstrom
6.960 0.000 0.000
0.000 4.460 0.000
0.000 0.000 7.693
ATOMIC_POSITIONS angstrom
Tb 0.114 1.115 1.515
Tb 3.366 3.345 5.362
Tb 3.594 1.115 2.331
Tb 6.846 3.345 6.177
Ga 1.193 1.115 4.426
Ga 2.287 3.345 0.580
Ga 4.673 1.115 7.113
Ga 5.767 3.345 3.266
Pt 1.542 3.345 3.090
Pt 1.938 1.115 6.936
Pt 5.022 3.345 0.756
Pt 5.418 1.115 4.603
```

Results
Raw total energy (eV/atom): -5.674
Space-group type: Pnma, No. 62
Formation enthalpy at 0 K (eV per atom): -1.10

---

- The lowest raw total energy belongs to which entry?
  Si2H2O3

---

- Which value of formation enthalpy at 0 K does entry 1 give?
  -2.08 eV per atom